[1]
DFT (PBE) results for a relaxed structure of Sr3ZrTi2O9. Values from VASP.

Quantum ESPRESSO input file:
```
&SYSTEM
  ibrav = 0, nat = 30, ntyp = 4
/
ATOMIC_SPECIES
Sr 87.62 Sr.upf
Zr 91.22 Zr.upf
Ti 47.87 Ti.upf
O 16.00 O.upf
ATOMIC_POSITIONS crystal
Sr 0.079 0.579 0.660
Sr 0.249 0.751 0.000
Sr 0.421 0.921 0.340
Sr 0.579 0.079 0.660
Sr 0.751 0.249 0.000
Sr 0.921 0.421 0.340
Zr 0.334 0.334 0.166
Zr 0.666 0.666 0.834
Ti 0.000 0.000 0.500
Ti 0.165 0.165 0.828
Ti 0.500 0.500 0.500
Ti 0.835 0.835 0.172
O 0.050 0.050 0.663
O 0.064 0.064 0.145
O 0.077 0.594 0.169
O 0.250 0.750 0.500
O 0.259 0.259 0.519
O 0.284 0.284 0.994
O 0.388 0.388 0.341
O 0.395 0.395 0.806
O 0.406 0.923 0.831
O 0.594 0.077 0.169
O 0.605 0.605 0.194
O 0.612 0.612 0.659
O 0.716 0.716 0.006
O 0.741 0.741 0.481
O 0.750 0.250 0.500
O 0.923 0.406 0.831
O 0.936 0.936 0.855
O 0.950 0.950 0.337
CELL_PARAMETERS angstrom
4.008 -4.043 0.000
4.008 4.043 0.000
-4.001 0.000 12.023
```

spin magnetization = 0.0 Bohr magnetons per cell
MP2020-corrected energy = -255.00 eV per cell

***

[2]
DFT (PBE) results for a relaxed structure of Rb2BeF4. Values from VASP.

Quantum ESPRESSO input file:
```
&SYSTEM
  ibrav = 0, nat = 28, ntyp = 3
/
ATOMIC_SPECIES
Rb 85.47 Rb.upf
Be 9.01 Be.upf
F 19.00 F.upf
ATOMIC_POSITIONS crystal
Rb 0.012 0.250 0.192
Rb 0.163 0.750 0.408
Rb 0.337 0.250 0.908
Rb 0.488 0.750 0.692
Rb 0.512 0.250 0.308
Rb 0.663 0.750 0.092
Rb 0.837 0.250 0.592
Rb 0.988 0.750 0.808
Be 0.237 0.750 0.081
Be 0.263 0.250 0.581
Be 0.737 0.750 0.419
Be 0.763 0.250 0.919
F 0.037 0.750 0.086
F 0.191 0.035 0.649
F 0.191 0.465 0.649
F 0.194 0.250 0.439
F 0.306 0.750 0.939
F 0.309 0.535 0.149
F 0.309 0.965 0.149
F 0.463 0.250 0.586
F 0.537 0.750 0.414
F 0.691 0.035 0.851
F 0.691 0.465 0.851
F 0.694 0.250 0.061
F 0.806 0.750 0.561
F 0.809 0.535 0.351
F 0.809 0.965 0.351
F 0.963 0.250 0.914
CELL_PARAMETERS angstrom
7.805 0.000 0.000
0.000 5.983 0.000
0.000 0.000 10.435
```

MP2020-corrected energy = -146.08 eV per cell

***

[3]
DFT (PBE) results for a relaxed structure of Sm2InHg. Values from VASP.

Quantum ESPRESSO input file:
```
&SYSTEM
  ibrav = 0, nat = 4, ntyp = 3
/
ATOMIC_SPECIES
Sm 150.36 Sm.upf
In 114.82 In.upf
Hg 200.59 Hg.upf
ATOMIC_POSITIONS crystal
Sm 0.250 0.250 0.250
Sm 0.750 0.750 0.750
In 0.000 0.000 0.000
Hg 0.500 0.500 0.500
CELL_PARAMETERS angstrom
0.000 3.829 3.829
3.829 0.000 3.829
3.829 3.829 0.000
```

***

Calculated formation energy per entry: -53.56; -23.16; -1.89 eV/f.u.
DFT total energy per entry: -8.09; -4.95; -3.60 eV/atom